[1]
## Nd2CuIr (GGA-PBE)

Data for crystalline Nd2CuIr at its relaxed geometry.

```
data_Nd2CuIr
_space_group_name_H-M_alt 'F m -3 m'
_space_group_IT_number 225
_space_group_name_Hall '-F 4 2 3'
_cell_length_a 7.1118
_cell_length_b 7.1118
_cell_length_c 7.1118
_cell_angle_alpha 90.00
_cell_angle_beta 90.00
_cell_angle_gamma 90.00
loop_
_atom_site_label
_atom_site_type_symbol
_atom_site_fract_x
_atom_site_fract_y
_atom_site_fract_z
_atom_site_occupancy
Nd1 Nd 0.2500 0.2500 0.2500 1
Cu1 Cu 0.0000 0.0000 0.0000 1
Ir1 Ir 0.0000 0.0000 0.5000 1
```

Energy of formation   -0.4204 eV/atom

[2]
## Li2BeH4 (GGA-PBE)

Data for crystalline Li2BeH4 at its relaxed geometry.

```
data_Li2BeH4
_space_group_name_H-M_alt 'P 1'
_space_group_IT_number 1
_cell_length_a 5.1395
_cell_length_b 6.6320
_cell_length_c 11.3875
_cell_angle_alpha 83.46
_cell_angle_beta 86.21
_cell_angle_gamma 83.38
loop_
_space_group_symop_operation_xyz
'x,y,z'
loop_
_atom_site_label
_atom_site_type_symbol
_atom_site_fract_x
_atom_site_fract_y
_atom_site_fract_z
_atom_site_occupancy
Li1 Li 0.0000 0.0000 0.0000 1
Li2 Li 0.0067 0.1103 0.3608 1
Li3 Li 0.1881 0.3418 0.7964 1
Li4 Li 0.3325 0.8561 0.4719 1
Li5 Li 0.3655 0.2979 0.0441 1
Li6 Li 0.4931 0.8585 0.0385 1
Li7 Li 0.5042 0.2900 0.4125 1
Li8 Li 0.5197 0.0386 0.6334 1
Li9 Li 0.6299 0.5167 0.6127 1
Li10 Li 0.9473 0.5719 0.0650 1
Li11 Li 0.9681 0.7147 0.8255 1
Li12 Li 0.9916 0.5549 0.3735 1
Be1 Be 0.0022 0.9937 0.6550 1
Be2 Be 0.0879 0.2660 0.5470 1
Be3 Be 0.0913 0.5906 0.6118 1
Be4 Be 0.8345 0.8338 0.5071 1
Be5 Be 0.8405 0.2258 0.1729 1
Be6 Be 0.9702 0.8434 0.2059 1
H1 H 0.1130 0.2553 0.1710 1
H2 H 0.1750 0.4788 0.9358 1
H3 H 0.1789 0.8002 0.1175 1
H4 H 0.2038 0.0584 0.7172 1
H5 H 0.3119 0.5758 0.6849 1
H6 H 0.3171 0.4826 0.2834 1
H7 H 0.3181 0.0933 0.9594 1
H8 H 0.3259 0.5964 0.2960 1
H9 H 0.3275 0.9516 0.2991 1
H10 H 0.3460 0.7236 0.8867 1
H11 H 0.3506 0.8401 0.8699 1
H12 H 0.4169 0.0346 0.3159 1
H13 H 0.5311 0.1923 0.8179 1
H14 H 0.5705 0.2732 0.7692 1
H15 H 0.5950 0.7781 0.5664 1
H16 H 0.7106 0.3468 0.0772 1
H17 H 0.7134 0.0175 0.4437 1
H18 H 0.7415 0.2707 0.2868 1
H19 H 0.7857 0.0115 0.1497 1
H20 H 0.8030 0.9379 0.7406 1
H21 H 0.8102 0.7942 0.9672 1
H22 H 0.8254 0.6698 0.2238 1
H23 H 0.8524 0.1919 0.6094 1
H24 H 0.9018 0.5298 0.7117 1
```

Energy of formation   -0.1388 eV/atom
Energy above the most stable polymorph in this dataset   262.5 meV per atom

[3]
## BaCeInSbO6 (GGA-PBE)

Data for crystalline BaCeInSbO6 at its relaxed geometry.

```
data_BaCeInSbO6
_space_group_name_H-M_alt 'P n n n'
_space_group_IT_number 48
_cell_length_a 8.6405
_cell_length_b 8.9278
_cell_length_c 9.0864
_cell_angle_alpha 90.00
_cell_angle_beta 90.00
_cell_angle_gamma 90.00
loop_
_space_group_symop_operation_xyz
'x,y,z'
'-x,-y,-z'
'-x+1/2,-y+1/2,z'
'x+1/2,y+1/2,-z'
'x,-y+1/2,-z+1/2'
'-x,y+1/2,z+1/2'
'-x+1/2,y,-z+1/2'
'x+1/2,-y,z+1/2'
loop_
_atom_site_label
_atom_site_type_symbol
_atom_site_fract_x
_atom_site_fract_y
_atom_site_fract_z
_atom_site_occupancy
Ba1 Ba 0.2500 0.2500 0.2500 1
Ba2 Ba 0.2500 0.2500 0.7500 1
Ce1 Ce 0.0000 0.0000 0.0000 1
In1 In 0.2500 0.7500 0.2500 1
In2 In 0.2500 0.7500 0.7500 1
Sb1 Sb 0.0000 0.0000 0.5000 1
O1 O 0.0583 0.5764 0.2472 1
O2 O 0.0580 0.7463 0.9165 1
O3 O 0.2494 0.0595 0.5217 1
```

Energy of formation   -2.5122 eV/atom
Energy above the most stable polymorph in this dataset   108.3 meV per atom

no.,raw total energy (eV/atom),total magnetic moment (Bohr magnetons per cell)
1,-6.04,0.00
2,-3.05,0.00
3,-6.54,0.00